# 1
Here is crystalline Na7La3NbSi3P3O24 at its relaxed geometry from the Materials Project. Energies are from PBE.

The structure in POSCAR format:
```
Na7La3NbSi3P3O24
1.0
9.5738 0.0000 0.0000
4.7859 8.3190 0.0000
0.0529 0.0386 23.2442
Na La Nb Si P O
21 9 3 9 9 72
direct
0.0000 0.0000 0.0000
0.0005 0.3475 0.7527
0.0014 0.7215 0.5074
0.0233 0.0155 0.6750
0.0240 0.6502 0.1612
0.3179 0.3764 0.6771
0.3362 0.6717 0.0862
0.3370 0.6795 0.5933
0.3454 0.0429 0.8322
0.3470 0.3153 0.3310
0.3750 0.9814 0.5112
0.6355 0.3473 0.5072
0.6544 0.6939 0.9940
0.6675 0.0210 0.9122
0.6724 0.6607 0.6751
0.6812 0.0159 0.4202
0.7125 0.3063 0.8280
0.7119 0.6885 0.3264
0.9569 0.6967 0.8337
0.9618 0.0413 0.3317
0.9900 0.3506 0.2504
0.0016 0.3543 0.3978
0.0034 0.3530 0.9061
0.0037 0.3497 0.6024
0.0087 0.3440 0.1049
0.3319 0.6772 0.9399
0.3368 0.6802 0.4313
0.6700 0.0187 0.2590
0.6724 0.0165 0.5811
0.6744 0.0116 0.7650
0.3373 0.6888 0.7392
0.3486 0.6733 0.2335
0.6644 0.0140 0.0764
0.0421 0.9848 0.8387
0.0435 0.6797 0.3308
0.3550 0.0076 0.6724
0.6369 0.6765 0.8398
0.6384 0.3843 0.3337
0.6559 0.7198 0.1750
0.6600 0.3429 0.6731
0.9875 0.6743 0.0108
0.9991 0.6989 0.6719
0.3218 0.3411 0.5019
0.3296 0.0404 0.0045
0.3305 0.3913 0.8318
0.3310 0.9764 0.3310
0.3756 0.3326 0.1740
0.6937 0.6678 0.5023
0.7004 0.3294 0.0066
0.9858 0.9909 0.1713
0.9984 0.0402 0.5016
0.0001 0.1313 0.5561
0.0048 0.5654 0.0657
0.0196 0.1269 0.1597
0.0402 0.5131 0.6673
0.0484 0.1524 0.8322
0.0504 0.5052 0.3255
0.1142 0.6970 0.3924
0.1183 0.8955 0.8992
0.1285 0.7226 0.0097
0.1442 0.8214 0.1685
0.1507 0.8697 0.5044
0.1605 0.8571 0.7853
0.1671 0.1340 0.3255
0.1671 0.3929 0.8305
0.1677 0.1486 0.6677
0.1688 0.6801 0.2779
0.1737 0.6926 0.6829
0.2022 0.1301 0.0505
0.2030 0.3704 0.1635
0.2268 0.3440 0.5561
0.2306 0.3380 0.4469
0.2724 0.1249 0.9457
0.3328 0.4927 0.7786
0.3353 0.8563 0.2828
0.3401 0.4936 0.5047
0.3462 0.4694 0.8867
0.3481 0.8386 0.6838
0.3488 0.8972 0.3899
0.3725 0.4998 0.1733
0.3736 0.8615 0.0052
0.4290 0.2569 0.2336
0.4369 0.0462 0.7264
0.4684 0.9671 0.6145
0.4738 0.0081 0.3250
0.4748 0.2182 0.8295
0.4847 0.7129 0.1774
0.4911 0.1868 0.5015
0.4924 0.0394 0.0213
0.4932 0.5186 0.6838
0.4988 0.2174 0.1272
0.5102 0.5120 0.2809
0.5131 0.6788 0.7863
0.5214 0.6895 0.5038
0.5334 0.4794 0.0054
0.5514 0.6817 0.9004
0.5522 0.4598 0.3948
0.6218 0.2676 0.6153
0.6393 0.8613 0.1249
0.6561 0.8366 0.8353
0.6589 0.2056 0.3299
0.6821 0.7841 0.2355
0.6826 0.8352 0.5016
0.6890 0.1748 0.0229
0.7018 0.2199 0.7269
0.7824 0.5724 0.5568
0.7908 0.5745 0.4478
0.7967 0.2884 0.9488
0.8024 0.3519 0.0525
0.8054 0.3841 0.6684
0.8068 0.3872 0.3259
0.8101 0.5073 0.8330
0.8127 0.8549 0.0229
0.8140 0.5479 0.1631
0.8432 0.0258 0.5008
0.8595 0.0119 0.8344
0.8613 0.8344 0.3273
0.8633 0.9857 0.1252
0.8753 0.7794 0.7257
0.9079 0.0134 0.2307
0.9244 0.8134 0.6143
0.9500 0.6024 0.9517
0.9960 0.1352 0.4468
```

=====

# 2
Here is crystalline Na4LaNb3Si4P2O24 at its relaxed geometry from the Materials Project. Energies are from PBE.

The structure in POSCAR format:
```
Na4LaNb3Si4P2O24
1.0
9.1132 0.0000 0.0000
-4.5352 7.9175 0.0000
0.0000 -0.0086 22.9353
Na La Nb Si P O
12 3 9 12 6 72
direct
0.0000 0.0000 0.0000
0.0023 0.0055 0.4891
0.0106 0.3424 0.2404
0.2865 0.9425 0.5771
0.3270 0.6449 0.6574
0.3392 0.0278 0.9107
0.3457 0.9734 0.2410
0.3558 0.6563 0.1584
0.6681 0.3320 0.3287
0.6748 0.6943 0.5774
0.6830 0.3263 0.8199
0.6927 0.6399 0.9073
0.0004 0.9975 0.6413
0.6803 0.3193 0.9704
0.9968 0.9797 0.1473
0.0000 0.9837 0.3461
0.0076 0.9879 0.8399
0.3243 0.6452 0.0133
0.3344 0.6492 0.5097
0.3341 0.6492 0.8027
0.3379 0.6519 0.3110
0.6604 0.3160 0.6785
0.6657 0.3123 0.4656
0.6667 0.3223 0.1778
0.0033 0.6860 0.2448
0.0445 0.3573 0.4087
0.0537 0.6664 0.9051
0.2996 0.2879 0.2442
0.3053 0.9854 0.7384
0.3141 0.3562 0.9070
0.3275 0.9417 0.4098
0.3880 0.3281 0.5706
0.6321 0.6572 0.4105
0.6579 0.0275 0.5714
0.6972 0.9817 0.2432
0.7021 0.6822 0.7395
0.3766 0.0131 0.0725
0.6221 0.9225 0.9063
0.6526 0.6094 0.0717
0.9545 0.5895 0.5721
0.9779 0.3319 0.0770
0.9967 0.2883 0.7442
0.0137 0.1873 0.0792
0.0293 0.1732 0.4005
0.0455 0.2387 0.6872
0.0455 0.8449 0.9000
0.0809 0.8071 0.1895
0.1356 0.6117 0.5692
0.1379 0.4753 0.3528
0.1431 0.1697 0.9001
0.1454 0.4679 0.7571
0.1499 0.5067 0.0737
0.1514 0.6394 0.2593
0.1595 0.9595 0.4015
0.1668 0.6824 0.9655
0.1676 0.6640 0.8523
0.1698 0.4601 0.4651
0.1805 0.2394 0.1882
0.1953 0.0134 0.7934
0.1974 0.9826 0.0778
0.2023 0.1461 0.2962
0.2071 0.9454 0.6778
0.2125 0.1532 0.5696
0.3037 0.4590 0.9664
0.3081 0.8238 0.4677
0.3343 0.4789 0.8533
0.3383 0.8305 0.7542
0.3396 0.4784 0.2598
0.3509 0.8468 0.3538
0.3764 0.5027 0.5690
0.3773 0.8409 0.0714
0.4485 0.1001 0.0143
0.4771 0.3304 0.9058
0.4777 0.8438 0.5697
0.4813 0.2908 0.2307
0.4823 0.6122 0.0729
0.4890 0.1623 0.7350
0.4937 0.1219 0.1255
0.4963 0.1312 0.4145
0.5011 0.3269 0.5159
0.5022 0.8361 0.2577
0.5039 0.3473 0.6304
0.5052 0.6341 0.3570
0.5116 0.6468 0.7549
0.5187 0.8255 0.8525
0.5328 0.8172 0.9621
0.5361 0.6813 0.4689
0.6298 0.0932 0.9046
0.6480 0.1315 0.6299
0.6478 0.4895 0.1235
0.6541 0.4910 0.4147
0.6644 0.5377 0.0130
0.6687 0.1427 0.5152
0.6887 0.1612 0.2326
0.6991 0.5009 0.7355
0.7463 0.9306 0.1834
0.7546 0.7792 0.6784
0.7989 0.9362 0.9020
0.8033 0.7867 0.0771
0.8125 0.9901 0.5690
0.8135 0.8280 0.4004
0.8297 0.5011 0.2310
0.8318 0.2930 0.7401
0.8354 0.7977 0.7942
0.8400 0.0241 0.2951
0.8501 0.4971 0.5177
0.8573 0.3385 0.4152
0.8622 0.5144 0.9009
0.8650 0.4878 0.6282
0.8759 0.3423 0.1307
0.8862 0.3184 0.0205
0.9688 0.7879 0.2977
0.9706 0.7653 0.5731
0.9782 0.1619 0.7943
```

=====

# 3
Here is crystalline Na3La2Nb2SiP5O24 at its relaxed geometry from the Materials Project. Energies are from PBE.

The structure in POSCAR format:
```
Na3La2Nb2SiP5O24
1.0
9.2915 0.0000 0.0000
-4.6272 8.0585 0.0000
-0.0366 -0.0322 23.0115
Na La Nb Si P O
9 6 6 3 15 72
direct
0.0000 0.0000 0.0000
0.0030 0.0365 0.5007
0.2954 0.6598 0.1671
0.3031 0.6772 0.6682
0.6402 0.7012 0.5845
0.6460 0.3736 0.8343
0.6516 0.0063 0.0784
0.6679 0.3635 0.3363
0.9913 0.3406 0.9110
0.3173 0.6943 0.5171
0.3263 0.6888 0.0188
0.6643 0.3558 0.6883
0.6652 0.3681 0.1907
0.9884 0.0156 0.8508
0.9912 0.0246 0.3551
0.0046 0.0379 0.6475
0.3290 0.6954 0.3136
0.3389 0.7030 0.8139
0.6575 0.3572 0.4793
0.6604 0.3565 0.9816
0.9980 0.0305 0.1470
0.3613 0.3459 0.5824
0.6191 0.0061 0.9196
0.9538 0.3435 0.0839
0.0176 0.4132 0.4137
0.0192 0.6681 0.9144
0.0269 0.3392 0.7517
0.0270 0.7507 0.2497
0.2717 0.3347 0.2497
0.2752 0.9970 0.7487
0.3519 0.4112 0.9120
0.3594 0.0835 0.0827
0.3600 0.0080 0.4141
0.6076 0.6650 0.4178
0.6815 0.7410 0.7460
0.6847 0.9969 0.2478
0.6894 0.0786 0.5802
0.6895 0.6694 0.0820
0.9425 0.6693 0.5821
0.0044 0.8223 0.3049
0.0068 0.2521 0.8087
0.0298 0.2175 0.6989
0.0374 0.8664 0.1958
0.1108 0.6842 0.9706
0.1126 0.4787 0.4696
0.1225 0.7140 0.5751
0.1258 0.6549 0.8616
0.1304 0.5353 0.3611
0.1415 0.4892 0.0816
0.1523 0.2263 0.1949
0.1536 0.9856 0.6955
0.1795 0.1692 0.5929
0.1862 0.0742 0.0872
0.1950 0.5046 0.7505
0.1971 0.2373 0.3038
0.1978 0.7489 0.2541
0.2085 0.0253 0.8042
0.2084 0.2371 0.9020
0.2229 0.0494 0.4061
0.2715 0.5050 0.2536
0.2724 0.8255 0.7529
0.3088 0.4752 0.9661
0.3316 0.5009 0.5759
0.3359 0.9110 0.0734
0.3355 0.9173 0.4703
0.3654 0.5335 0.8590
0.3688 0.8962 0.3616
0.4480 0.3726 0.2416
0.4525 0.1330 0.7401
0.4608 0.2038 0.0281
0.4615 0.1568 0.1361
0.4689 0.3220 0.5246
0.4789 0.3830 0.6362
0.4862 0.6555 0.3654
0.4873 0.8840 0.8633
0.5096 0.7413 0.7523
0.5158 0.8248 0.2548
0.5208 0.4159 0.9176
0.5329 0.1761 0.4175
0.5421 0.6861 0.4752
0.5557 0.9128 0.9797
0.5577 0.7206 0.0747
0.5577 0.8978 0.5705
0.6102 0.4953 0.4194
0.6114 0.1825 0.9241
0.6411 0.1324 0.2402
0.6433 0.5624 0.7428
0.6550 0.1438 0.6350
0.6566 0.5700 0.1368
0.6984 0.5658 0.0276
0.7032 0.1967 0.5264
0.7767 0.8169 0.8012
0.7791 0.8510 0.6913
0.7841 0.8059 0.4095
0.7869 0.0248 0.3015
0.7870 0.9833 0.1924
0.8110 0.0611 0.9102
0.8233 0.5615 0.5282
0.8241 0.3270 0.0243
0.8502 0.4961 0.9154
0.8509 0.4173 0.4170
0.8533 0.3488 0.1377
0.8616 0.0817 0.5868
0.8626 0.8379 0.0871
0.8711 0.5733 0.6369
0.8839 0.3701 0.7425
0.8889 0.5725 0.2431
0.9340 0.8365 0.5844
0.9482 0.1586 0.0888
0.9798 0.2360 0.4054
0.9822 0.8091 0.9099
```

=====

Number 1: uncorrected energy -7.11 eV/atom. Number 2: uncorrected energy -7.60 eV/atom. Number 3: uncorrected energy -7.51 eV/atom.